1.
MgTl4V4Te4O20: optimized geometry, GGA+U.

Geometry as POSCAR:
```
MgTl4V4Te4O20
1.0
7.1281 0.0000 0.0000
0.1646 8.0510 0.0000
0.3435 0.5015 9.3374
Mg Tl V Te O
1 4 4 4 20
Cartesian
0.0000 0.0000 0.0000
1.4132 2.3099 1.3811
1.7976 5.6926 8.2337
4.7708 6.2311 5.6312
4.8095 2.1921 3.8394
2.5801 1.5226 7.0392
3.3153 5.1935 2.4525
6.1500 1.3719 6.9149
6.9258 5.2368 2.2489
1.1078 7.6955 4.4367
1.2147 3.8490 4.9926
4.2894 7.4901 0.3331
5.2649 3.8987 9.1990
0.3786 5.9061 4.1090
0.8216 1.0579 7.5464
1.6795 4.7331 1.7127
1.9170 2.0076 5.2945
2.2255 7.1893 5.8379
2.7625 3.0504 7.7192
2.9968 8.3772 8.7291
2.8995 4.2548 4.0667
3.0431 6.8044 2.8583
3.8562 5.6208 0.4998
3.8622 3.0271 1.3743
4.2085 1.0673 6.5518
5.1067 5.0722 2.8470
5.9503 7.6813 8.3109
5.8940 2.0621 8.9812
6.2834 2.9548 6.2889
6.6137 8.2192 5.3871
6.5327 4.0100 0.7158
6.9671 6.8243 1.5165
7.3121 3.3752 3.4768
```

M_tot: 0.0 μB/cell
offset from the most stable computed form: 0.0 meV/atom
space-group type: P1

***

2.
MgTl4V4Te4O20: optimized geometry, GGA+U.

Geometry as POSCAR:
```
MgTl4V4Te4O20
1.0
7.2354 0.0000 0.0000
-0.0301 7.8308 0.0000
-0.1438 -0.3837 9.1729
Mg Tl V Te O
1 4 4 4 20
Cartesian
0.0000 0.0000 0.0000
0.4936 4.5647 0.0719
1.0198 0.9193 6.6312
4.0919 4.7597 2.9221
4.3355 0.6973 4.6568
2.0166 1.7104 1.3650
2.6172 5.5086 5.9944
5.6287 1.8086 1.3371
6.3088 5.4072 6.1254
0.4459 3.1157 3.9340
0.6355 6.9971 3.4104
3.9361 2.9472 8.0453
4.0549 6.8517 8.5945
0.1601 1.9953 0.5559
0.8071 5.8875 6.6432
1.2622 1.0612 3.0461
1.5225 3.5476 2.4261
1.9157 0.1115 0.6062
2.2599 6.6718 4.3912
2.2983 2.4414 8.9700
2.4874 3.9389 5.3149
3.1455 7.3006 6.9975
3.2891 4.8228 7.8665
3.6670 1.7522 1.9042
4.6760 5.7445 5.5062
4.7923 0.8923 8.6443
5.1068 3.6663 0.4369
5.9299 0.0733 1.5939
5.8608 6.4356 7.8640
6.0230 2.7277 3.0015
6.1972 3.8254 6.6912
6.7561 7.6076 4.7885
7.0337 4.9661 4.2705
```

M_tot: 2.0 μB/cell
offset from the most stable computed form: 5.4 meV/atom
space-group type: P1

***

3.
MgTl4V4Te4O20: optimized geometry, GGA+U.

Geometry as POSCAR:
```
MgTl4V4Te4O20
1.0
7.3080 0.0000 0.0000
0.7865 8.0793 0.0000
0.5888 0.5490 9.2699
Mg Tl V Te O
1 4 4 4 20
Cartesian
0.0000 0.0000 0.0000
2.8957 3.7581 3.4042
3.4024 7.8170 5.4237
6.8546 7.6923 7.4775
6.3353 3.5439 0.6677
0.7631 0.8176 2.4201
1.7098 4.6546 6.6885
4.4119 0.6490 2.1518
5.2732 4.9292 6.6316
3.1724 6.3331 0.3104
3.3108 2.5757 8.7611
6.3857 2.3208 4.7120
7.1869 6.3214 4.0406
1.4361 5.7867 5.1417
1.4954 3.1036 6.1086
1.0845 1.6242 0.4857
1.7119 7.0775 1.5310
2.6492 7.5134 8.1702
2.5861 4.3620 8.3917
2.4410 0.9107 2.8267
3.6396 5.0594 6.0574
3.8083 2.4319 0.9861
4.3505 7.8691 0.3989
5.1398 6.1430 7.9929
4.8205 1.9315 3.6770
5.3246 7.2029 2.9406
5.3000 3.4200 7.4211
6.0394 6.6911 5.5381
6.0366 4.2238 4.9043
6.1867 0.7869 1.4338
7.5013 5.1341 7.3573
7.9675 8.1300 4.0218
7.5628 2.5931 3.2365
```

M_tot: 0.0 μB/cell
offset from the most stable computed form: 3.6 meV/atom
space-group type: P1

***

- Which of these has the highest offset from the most stable computed form?
  number 2

***

Copy entry 2 word for word.
MgTl4V4Te4O20: optimized geometry, GGA+U.

Geometry as POSCAR:
```
MgTl4V4Te4O20
1.0
7.2354 0.0000 0.0000
-0.0301 7.8308 0.0000
-0.1438 -0.3837 9.1729
Mg Tl V Te O
1 4 4 4 20
Cartesian
0.0000 0.0000 0.0000
0.4936 4.5647 0.0719
1.0198 0.9193 6.6312
4.0919 4.7597 2.9221
4.3355 0.6973 4.6568
2.0166 1.7104 1.3650
2.6172 5.5086 5.9944
5.6287 1.8086 1.3371
6.3088 5.4072 6.1254
0.4459 3.1157 3.9340
0.6355 6.9971 3.4104
3.9361 2.9472 8.0453
4.0549 6.8517 8.5945
0.1601 1.9953 0.5559
0.8071 5.8875 6.6432
1.2622 1.0612 3.0461
1.5225 3.5476 2.4261
1.9157 0.1115 0.6062
2.2599 6.6718 4.3912
2.2983 2.4414 8.9700
2.4874 3.9389 5.3149
3.1455 7.3006 6.9975
3.2891 4.8228 7.8665
3.6670 1.7522 1.9042
4.6760 5.7445 5.5062
4.7923 0.8923 8.6443
5.1068 3.6663 0.4369
5.9299 0.0733 1.5939
5.8608 6.4356 7.8640
6.0230 2.7277 3.0015
6.1972 3.8254 6.6912
6.7561 7.6076 4.7885
7.0337 4.9661 4.2705
```

M_tot: 2.0 μB/cell
offset from the most stable computed form: 5.4 meV/atom
space-group type: P1

***

- Which value of offset from the most stable computed form does entry 3 give?
  3.6 meV/atom